[1]
Density functional theory data (PBE+U) for a relaxed Li7Mn4CoO12 crystal.

Space group ... P1 (1)
Calculated total energy ... -6.2137 eV/atom
Energy relative to the elements ... -2.049 eV/atom

Unit cell a=5.1600 b=5.8061 c=7.6930 alpha=99.92 beta=108.13 gamma=90.28
Atoms (fractional coordinates):
Mn (0.9989, 0.0022, 0.9986)
O (0.2830, 0.1213, 0.4903)
O (0.9706, 0.8035, 0.1808)
Co (0.6599, 0.1690, 0.6678)
Mn (0.6601, 0.6692, 0.6723)
Li (0.8390, 0.0802, 0.3292)
O (0.5726, 0.4559, 0.8129)
Li (0.1608, 0.9222, 0.6707)
O (0.0340, 0.7165, 0.8248)
Mn (0.3370, 0.3326, 0.3289)
Li (0.5099, 0.2540, 0.9973)
Mn (0.3431, 0.8321, 0.3308)
Li (0.8428, 0.5761, 0.3209)
O (0.2762, 0.6464, 0.5033)
O (0.7222, 0.8803, 0.5096)
O (0.4352, 0.0198, 0.1739)
Li (0.4902, 0.7406, 0.9974)
O (0.9491, 0.2801, 0.1701)
Li (0.1546, 0.4192, 0.6823)
O (0.0369, 0.1964, 0.8238)
Li (0.9929, 0.4958, 0.9966)
O (0.7307, 0.3858, 0.5153)
O (0.4266, 0.5493, 0.1877)
O (0.5738, 0.9518, 0.8146)

---

[2]
Density functional theory data (PBE+U) for a relaxed Li4Mn3CoO8 crystal.

Space group ... P2/m (10)
Calculated total energy ... -6.3606 eV/atom
Energy relative to the elements ... -2.006 eV/atom

Unit cell a=2.8658 b=5.4070 c=9.8676 alpha=83.57 beta=90.00 gamma=90.00
Atoms (fractional coordinates):
O (0.5000, 0.8861, 0.8787)
O (0.0000, 0.1100, 0.6146)
O (0.0000, 0.8900, 0.3854)
Li (0.5000, 0.7579, 0.2466)
Mn (0.0000, 0.5000, 0.5000)
O (0.0000, 0.6295, 0.1097)
Mn (0.5000, 0.5000, 0.0000)
Co (0.0000, 0.0000, 0.0000)
O (0.0000, 0.3705, 0.8903)
O (0.5000, 0.1139, 0.1213)
Li (0.5000, 0.2421, 0.7534)
Li (0.0000, 0.7574, 0.7515)
O (0.5000, 0.3953, 0.3841)
Li (0.0000, 0.2426, 0.2485)
O (0.5000, 0.6047, 0.6159)
Mn (0.5000, 0.0000, 0.5000)

---

[3]
Density functional theory data (PBE+U) for a relaxed Li7Mn4CoO12 crystal.

Space group ... P1 (1)
Calculated total energy ... -6.2276 eV/atom
Energy relative to the elements ... -2.063 eV/atom

Unit cell a=6.7082 b=7.7580 c=8.7053 alpha=79.25 beta=102.72 gamma=89.51
Atoms (fractional coordinates):
O (0.7098, 0.9319, 0.9702)
Mn (0.5045, 0.5014, 0.9983)
Li (0.8698, 0.3759, 0.2492)
O (0.5610, 0.3366, 0.8732)
Li (0.6251, 0.1164, 0.7490)
O (0.9336, 0.1711, 0.4687)
O (0.1951, 0.4171, 0.2963)
Li (0.8701, 0.3799, 0.9087)
O (0.9374, 0.1642, 0.7970)
Mn (0.7507, 0.7479, 0.5041)
Li (0.1315, 0.6161, 0.7537)
O (0.7890, 0.5613, 0.6977)
O (0.2865, 0.0664, 0.6973)
O (0.2857, 0.0687, 0.3685)
O (0.7924, 0.5701, 0.0461)
Mn (0.5000, 0.4990, 0.6670)
Mn (0.0003, 0.9986, 0.6686)
Li (0.2511, 0.2522, 0.8337)
Li (0.1163, 0.6243, 0.0753)
Li (0.3707, 0.8686, 0.5891)
Mn (0.9965, 0.0013, 0.9961)
Co (0.5019, 0.4987, 0.3350)
Mn (0.2501, 0.2504, 0.5051)
O (0.8080, 0.5862, 0.3667)
Mn (0.2496, 0.2518, 0.1629)
O (0.2807, 0.0651, 0.0461)
Li (0.7485, 0.7487, 0.8299)
O (0.2182, 0.4432, 0.9720)
O (0.4426, 0.6650, 0.7958)
O (0.9357, 0.1702, 0.1180)
O (0.0621, 0.8301, 0.5477)
O (0.4357, 0.6762, 0.4699)
Co (0.9983, 0.0028, 0.3346)
O (0.4685, 0.6898, 0.1182)
O (0.0617, 0.8354, 0.8715)
O (0.7082, 0.9246, 0.2918)
O (0.7139, 0.9313, 0.6216)
Li (0.6295, 0.1321, 0.0788)
Li (0.3727, 0.8866, 0.9117)
Li (0.3725, 0.8732, 0.2507)
Li (0.1315, 0.6211, 0.4222)
Mn (0.7515, 0.7506, 0.1605)
Li (0.6318, 0.1317, 0.4227)
O (0.5656, 0.3252, 0.1952)
O (0.0392, 0.8172, 0.1933)
Li (0.8682, 0.3692, 0.5915)
O (0.2132, 0.4351, 0.6242)
O (0.5632, 0.3198, 0.5544)